First-principles (PBE) data for a relaxed structure of Mg6AlW, as listed in the Materials Project database.

As for the formation energy: 1.85 eV per formula unit. Its calculated total energy is -3.057 eV/atom. The value obtained for the size of the total moment is 0.001 μB per atom.

abc: 4.8235 6.1186 10.6768
angles: 90.00 90.00 90.00
Last column: nearest neighbours and their distance in Å.
Fractional coordinates of all 16 atoms:
1 Mg 0.0000 0.7619 0.5866  1 Al 2.82, 7 Mg 2.91-3.08, 2 W 2.98
2 Mg 0.5000 0.0000 0.1669  10 Mg 2.99-3.10, 2 W 3.06
3 Mg 0.0000 0.5000 0.8330  10 Mg 2.99-3.08, 2 Al 3.07
4 Mg 0.0000 0.7381 0.0866  1 Al 2.82, 7 Mg 2.91-3.08, 2 W 2.98
5 Mg 0.0000 0.2619 0.0866  1 Al 2.82, 7 Mg 2.91-3.08, 2 W 2.98
6 Mg 0.0000 0.2381 0.5866  1 Al 2.82, 7 Mg 2.91-3.08, 2 W 2.98
7 Mg 0.5000 0.7539 0.9186  2 W 2.98-3.17, 8 Mg 3.01-3.11, 2 Al 3.06
8 Mg 0.5000 0.2539 0.4186  2 W 2.98-3.17, 8 Mg 3.01-3.11, 2 Al 3.06
9 Mg 0.5000 0.7461 0.4186  2 W 2.98-3.17, 8 Mg 3.01-3.11, 2 Al 3.06
10 Mg 0.5000 0.5000 0.6669  10 Mg 2.99-3.10, 2 W 3.06
11 Mg 0.5000 0.2461 0.9186  2 W 2.98-3.17, 8 Mg 3.01-3.11, 2 Al 3.06
12 Mg 0.0000 0.0000 0.3330  10 Mg 2.99-3.08, 2 Al 3.07
13 W 0.5000 0.0000 0.6773  2 Al 2.81, 8 Mg 2.98-3.06
14 W 0.5000 0.5000 0.1773  2 Al 2.81, 8 Mg 2.98-3.06
15 Al 0.0000 0.0000 0.8123  2 W 2.81, 8 Mg 2.82-3.07
16 Al 0.0000 0.5000 0.3123  2 W 2.81, 8 Mg 2.82-3.07